Entry 1:
First-principles (PBE) data for a relaxed Na8Sc3NbSi5SO24 crystal, as listed in Materials Project.

Cell lengths 9.1949, 9.2023, 22.5805 Å; angles 90.06, 90.09, 119.92 degrees
Last column: nearest neighbours and their distance in Å.
Space group P1 (No. 1)
Asymmetric unit:
Na: 0.0000 0.0000 0.0000  6 O 2.47-2.75
Na: 0.0007 0.3633 0.4977  5 O 2.47-2.61
Na: 0.0410 0.7018 0.9198  6 O 2.50-2.67
Na: 0.0424 0.7012 0.4171  6 O 2.55-2.61
Na: 0.0532 0.0690 0.6726  5 O 2.46-2.63
Na: 0.0600 0.3417 0.1648  5 O 2.44-2.66
Na: 0.0664 0.3998 0.8385  5 O 2.48-2.72
Na: 0.0720 0.0269 0.3324  5 O 2.47-2.67
Na: 0.3358 0.6718 0.3332  5 O 2.49-2.65
Na: 0.3470 0.0333 0.8353  6 O 2.54-2.80
Na: 0.3652 0.3679 0.2484  6 O 2.43-2.68
Na: 0.3744 0.3582 0.7560  4 O 2.47-2.55
Na: 0.3812 0.7436 0.0004  6 O 2.48-2.74
Na: 0.3845 0.0020 0.5010  6 O 2.46-2.72
Na: 0.3924 0.0597 0.1615  5 O 2.47-2.74
Na: 0.4107 0.7150 0.6670  6 O 2.43-2.69
Na: 0.6624 0.3209 0.6696  6 O 2.42-2.70
Na: 0.6755 0.7016 0.1580  5 O 2.43-2.63
Na: 0.6986 0.0346 0.5790  4 O 2.45-2.54
Na: 0.7085 0.0306 0.0746  3 O 2.38-2.43
Na: 0.7154 0.6781 0.8388  5 O 2.50-2.74
Na: 0.7198 0.4062 0.3366  4 O 2.43-2.69
Na: 0.7452 0.7436 0.4982  5 O 2.47-2.60
Na: 0.7466 0.3662 0.9967  5 O 2.46-2.58
Sc: 0.0533 0.7170 0.7744  4 O 2.00-2.09
Sc: 0.0547 0.7197 0.0620  5 O 2.04-2.14
Sc: 0.0559 0.7128 0.2701  5 O 2.01-2.15
Sc: 0.0584 0.7141 0.5600  4 O 2.00-2.15
Sc: 0.3681 0.3692 0.0994  5 O 1.96-2.19
Sc: 0.3749 0.3599 0.5983  4 O 1.96-2.13
Sc: 0.6984 0.0342 0.7409  4 O 1.98-2.16
Sc: 0.7094 0.0363 0.4365  6 O 2.03-2.15
Sc: 0.7092 0.0366 0.9349  6 O 2.04-2.17
Nb: 0.3754 0.3684 0.3991  6 O 1.95-2.09
Nb: 0.3759 0.3700 0.9004  6 O 1.95-2.08
Nb: 0.7081 0.0245 0.2355  5 O 1.90-2.01
Si: 0.0017 0.3295 0.3362  4 O 1.61-1.69
Si: 0.0032 0.0397 0.8340  4 O 1.62-1.67
Si: 0.0427 0.9982 0.1689  4 O 1.63-1.71
Si: 0.0789 0.3690 0.0023  4 O 1.62-1.69
Si: 0.0802 0.0767 0.5021  4 O 1.61-1.70
Si: 0.3387 0.7032 0.1687  4 O 1.63-1.71
Si: 0.3419 0.0007 0.6677  4 O 1.63-1.67
Si: 0.3786 0.6609 0.5036  4 O 1.62-1.70
Si: 0.3804 0.0799 0.0033  4 O 1.62-1.68
Si: 0.4151 0.7380 0.8351  4 O 1.61-1.66
Si: 0.4193 0.0391 0.3361  4 O 1.60-1.69
Si: 0.6701 0.6629 0.0034  4 O 1.62-1.69
Si: 0.6717 0.3705 0.5022  4 O 1.62-1.70
Si: 0.7094 0.3341 0.8349  4 O 1.62-1.67
Si: 0.7093 0.7375 0.3379  4 O 1.60-1.71
S: 0.0423 0.4099 0.6674  4 O 1.48-1.49
S: 0.7506 0.7033 0.6673  4 O 1.48-1.49
S: 0.7515 0.4076 0.1691  4 O 1.47-1.50
O: 0.0183 0.4892 0.6139  1 S 1.48
O: 0.0233 0.5143 0.3279  1 Si 1.62
O: 0.0264 0.8739 0.8289  1 Si 1.65
O: 0.0610 0.5111 0.7206  1 S 1.48
O: 0.0649 0.9091 0.2278  1 Si 1.63
O: 0.0688 0.5408 0.0050  1 Si 1.63
O: 0.0703 0.8943 0.5036  1 Si 1.64
O: 0.1635 0.3379 0.0607  1 Si 1.63
O: 0.1654 0.1927 0.5600  1 Si 1.62
O: 0.1878 0.3407 0.3398  1 Si 1.66
O: 0.1931 0.2081 0.8411  1 Si 1.67
O: 0.1976 0.3971 0.6639  1 S 1.49
O: 0.2033 0.6674 0.5034  1 Si 1.64
O: 0.2055 0.8985 0.0028  1 Si 1.64
O: 0.2056 0.3946 0.9445  1 Si 1.69
O: 0.2084 0.1760 0.4441  1 Si 1.70
O: 0.2098 0.1855 0.1660  1 Si 1.64
O: 0.2216 0.9092 0.7248  1 Si 1.63
O: 0.2242 0.6728 0.2273  1 Si 1.63
O: 0.2251 0.7097 0.8277  1 Si 1.64
O: 0.2319 0.8764 0.3294  1 Si 1.63
O: 0.2498 0.8813 0.6093  1 Si 1.65
O: 0.2573 0.7427 0.1110  1 Si 1.63
O: 0.3525 0.5352 0.4448  1 Si 1.70
O: 0.3543 0.1791 0.9451  1 Si 1.68
O: 0.3596 0.1900 0.6654  1 Si 1.67
O: 0.3719 0.5440 0.1658  1 Si 1.64
O: 0.3972 0.5502 0.8415  1 Si 1.66
O: 0.4062 0.2122 0.3395  1 Si 1.66
O: 0.4061 0.5749 0.5619  1 Si 1.62
O: 0.4084 0.1930 0.0619  1 Si 1.62
O: 0.4969 0.8588 0.8918  1 Si 1.61
O: 0.5019 0.0053 0.3932  1 Si 1.60
O: 0.5291 0.8809 0.1771  1 Si 1.71
O: 0.5307 0.0176 0.6707  1 Si 1.66
O: 0.5324 0.5561 0.3398  1 Si 1.65
O: 0.5317 0.8152 0.7754  1 Si 1.65
O: 0.5373 0.3495 0.8419  1 Si 1.67
O: 0.5424 0.8452 0.4970  1 Si 1.62
O: 0.5446 0.0599 0.9968  1 Si 1.62
O: 0.5450 0.0692 0.2776  1 Si 1.69
O: 0.5544 0.3389 0.5600  1 Si 1.62
O: 0.5553 0.5764 0.0616  1 Si 1.62
O: 0.5679 0.5384 0.9449  1 Si 1.69
O: 0.5705 0.3961 0.4437  1 Si 1.70
O: 0.5788 0.5542 0.6637  1 S 1.49
O: 0.5818 0.3872 0.1651  1 S 1.48
O: 0.6685 0.2148 0.7755  1 Si 1.65
O: 0.6778 0.8349 0.2790  1 Si 1.71, 1 Nb 1.90
O: 0.6866 0.8463 0.9966  1 Si 1.63
O: 0.6877 0.2035 0.4964  1 Si 1.62
O: 0.7348 0.2374 0.1741  1 S 1.50
O: 0.7380 0.8583 0.6711  1 S 1.49
O: 0.7446 0.8581 0.3936  1 Si 1.60
O: 0.7463 0.2515 0.8921  1 Si 1.62
O: 0.8291 0.6784 0.7205  1 S 1.48
O: 0.8300 0.5091 0.2224  1 S 1.47
O: 0.8510 0.6693 0.0041  1 Si 1.63
O: 0.8516 0.7210 0.6139  1 S 1.48
O: 0.8529 0.5423 0.5053  1 Si 1.63
O: 0.8539 0.4845 0.1160  1 S 1.47
O: 0.8673 0.7099 0.3273  1 Si 1.61
O: 0.8708 0.0215 0.1771  1 Si 1.71
O: 0.8707 0.5215 0.8255  1 Si 1.63
O: 0.8856 0.0047 0.8914  1 Si 1.62
O: 0.8874 0.2457 0.3937  1 Si 1.61
O: 0.8931 0.2388 0.6710  1 S 1.49
O: 0.8969 0.0583 0.4966  1 Si 1.61
O: 0.8966 0.2015 0.9962  1 Si 1.62
O: 0.9052 0.2022 0.2780  1 Si 1.69
O: 0.9241 0.0753 0.7739  1 Si 1.65
O: 0.9979 0.8771 0.1110  1 Si 1.63

Values from the calculation:
M_tot, μB per atom: 0.000
Formation energy, eV per atom: -2.938
Uncorrected energy, eV per cell: -889.76

***

Entry 2:
First-principles (PBE) data for a relaxed Ba2CaN2 crystal, as listed in Materials Project.

Cell lengths 6.0271, 11.4335, 3.6720 Å; angles 90.00, 90.00, 90.00 degrees
Last column: nearest neighbours and their distance in Å.
Space group Pmmn (No. 59, origin choice 2)
Asymmetric unit:
Ba: 0.2500 0.0642 0.2281  2 N 2.55-2.65
Ca: 0.2500 0.7500 0.2289  4 N 2.49-2.59
N: 0.2500 0.5968 0.7091  2 Ca 2.49-2.59, 2 Ba 2.55-2.65

Values from the calculation:
M_tot, μB per atom: 0.000
Polymorph energy (0 for the lowest one), meV/atom: 62.6
Formation energy, eV per atom: -0.527
Uncorrected energy, eV per cell: -48.86

***

Entry 3:
First-principles (PBE) data for a relaxed SrRuO3 crystal, as listed in Materials Project.

Cell lengths 3.6672, 3.6672, 6.6337 Å; angles 90.00, 90.00, 90.00 degrees
Last column: nearest neighbours and their distance in Å.
Space group P4/mmm (No. 123)
Asymmetric unit:
Sr: 0.0000 0.0000 0.0000  4 O 2.59
Ru: 0.0000 0.0000 0.5000  4 O 1.83
O: 0.0000 0.5000 0.5000  2 Ru 1.83
O: 0.5000 0.5000 0.0000  4 Sr 2.59

Values from the calculation:
M_tot, μB per atom: 0.001
Formation energy, eV per atom: -1.680
Uncorrected energy, eV per cell: -32.15

***

Entry 4:
First-principles (PBE) data for a relaxed Al2O3 crystal, as listed in Materials Project.

Cell lengths 9.9976, 10.3627, 10.7474 Å; angles 90.06, 91.24, 90.17 degrees
Last column: nearest neighbours and their distance in Å.
Space group P1 (No. 1)
Asymmetric unit:
Al: 0.0000 0.0000 0.0000  4 O 1.71-1.83
Al: 0.0015 0.0787 0.2983  6 O 1.91-2.13
Al: 0.0057 0.3963 0.5157  4 O 1.76-1.87
Al: 0.0084 0.7905 0.4780  4 O 1.73-1.86
Al: 0.0497 0.8659 0.7502  4 O 1.71-1.87
Al: 0.0856 0.7616 0.0436  4 O 1.75-1.86
Al: 0.0865 0.5225 0.8629  4 O 1.74-1.79
Al: 0.1207 0.2580 0.0514  5 O 1.82-1.95
Al: 0.1850 0.5452 0.1692  4 O 1.78-1.90
Al: 0.2363 0.0983 0.6920  4 O 1.75-1.81
Al: 0.2394 0.8361 0.2951  4 O 1.71-1.85
Al: 0.2543 0.1147 0.4094  4 O 1.78-1.85
Al: 0.2724 0.5953 0.4572  4 O 1.82-1.89
Al: 0.2952 0.4268 0.6443  5 O 1.76-1.93
Al: 0.3040 0.0101 0.9753  4 O 1.78-1.80
Al: 0.3073 0.6936 0.7382  4 O 1.73-1.82
Al: 0.3715 0.3074 0.0778  4 O 1.74-1.79
Al: 0.4290 0.2446 0.8048  5 O 1.82-1.94
Al: 0.4304 0.3930 0.3446  5 O 1.81-1.95
Al: 0.4825 0.5078 0.8894  5 O 1.82-1.94
Al: 0.5023 0.0481 0.6034  4 O 1.75-1.82
Al: 0.5225 0.7527 0.9814  5 O 1.80-1.96
Al: 0.5352 0.5399 0.5959  5 O 1.86-1.98
Al: 0.5605 0.1695 0.3378  4 O 1.78-1.88
Al: 0.5649 0.8938 0.2275  4 O 1.71-1.85
Al: 0.5892 0.0010 0.8987  4 O 1.82-1.90
Al: 0.6128 0.4862 0.1147  4 O 1.77-1.83
Al: 0.6605 0.8009 0.7125  4 O 1.78-1.82
Al: 0.7035 0.2755 0.9543  4 O 1.76-1.80
Al: 0.7164 0.2359 0.6665  4 O 1.77-1.82
Al: 0.7261 0.7309 0.4358  4 O 1.76-1.84
Al: 0.7410 0.4341 0.4462  5 O 1.83-2.02
Al: 0.7581 0.9923 0.4511  6 O 1.88-2.01
Al: 0.7688 0.0894 0.1570  5 O 1.84-1.93
Al: 0.7873 0.8327 0.0097  4 O 1.79-1.88
Al: 0.8138 0.5355 0.6833  3 O 1.70-1.80
Al: 0.8936 0.6293 0.2205  4 O 1.78-1.82
Al: 0.9039 0.3560 0.2195  4 O 1.80-1.97
Al: 0.9783 0.2650 0.8155  4 O 1.77-1.83
Al: 0.9792 0.1115 0.5633  5 O 1.79-1.98
O: 0.0118 0.5023 0.2063  3 Al 1.78-1.87
O: 0.0279 0.2296 0.1930  3 Al 1.82-1.95
O: 0.0324 0.1443 0.9305  2 Al 1.71-1.83
O: 0.0715 0.0341 0.6896  3 Al 1.77-1.87
O: 0.0759 0.3630 0.9174  3 Al 1.76-1.85
O: 0.0905 0.1773 0.4463  2 Al 1.81-1.83
O: 0.1434 0.6124 0.9920  2 Al 1.75
O: 0.1618 0.7240 0.1916  3 Al 1.77-1.88
O: 0.1619 0.9213 0.0252  3 Al 1.78-1.83
O: 0.1650 0.4689 0.5219  3 Al 1.76-1.88
O: 0.1745 0.9979 0.3080  3 Al 1.80-1.92
O: 0.1772 0.7483 0.4324  3 Al 1.82-1.87
O: 0.2162 0.5428 0.7530  3 Al 1.79-1.86
O: 0.2171 0.8290 0.7775  2 Al 1.73-1.74
O: 0.2256 0.3869 0.1192  3 Al 1.74-1.84
O: 0.2760 0.2665 0.6955  3 Al 1.76-1.92
O: 0.2809 0.1585 0.0598  3 Al 1.79-1.91
O: 0.3101 0.5316 0.3043  3 Al 1.82-1.92
O: 0.3263 0.0484 0.5562  3 Al 1.81-1.85
O: 0.3354 0.0826 0.8272  3 Al 1.75-1.94
O: 0.3799 0.2165 0.3464  3 Al 1.78-1.90
O: 0.3821 0.6610 0.5880  3 Al 1.82-1.98
O: 0.3904 0.3613 0.9250  3 Al 1.75-1.82
O: 0.4072 0.8528 0.2719  2 Al 1.71
O: 0.4107 0.4428 0.5047  3 Al 1.81-1.92
O: 0.4442 0.6778 0.8439  3 Al 1.77-1.87
O: 0.4551 0.9184 0.9818  3 Al 1.79-1.85
O: 0.4662 0.4491 0.7292  3 Al 1.83-1.93
O: 0.4947 0.5959 0.0490  3 Al 1.78-1.94
O: 0.4962 0.3715 0.1790  3 Al 1.76-1.92
O: 0.5437 0.1955 0.6790  3 Al 1.77-1.86
O: 0.5629 0.1731 0.9188  3 Al 1.79-1.94
O: 0.5630 0.9479 0.7302  3 Al 1.81-1.90
O: 0.5824 0.0563 0.4606  3 Al 1.75-1.88
O: 0.5905 0.0689 0.2026  3 Al 1.82-1.87
O: 0.6098 0.3290 0.3819  3 Al 1.78-1.95
O: 0.6361 0.5832 0.4485  3 Al 1.78-1.95
O: 0.6417 0.7986 0.1084  3 Al 1.80-1.85
O: 0.6460 0.4363 0.9552  3 Al 1.76-1.92
O: 0.6642 0.6310 0.6895  3 Al 1.78-1.87
O: 0.6761 0.7993 0.8804  3 Al 1.79-1.96
O: 0.6909 0.8649 0.3403  3 Al 1.76-1.89
O: 0.7052 0.3979 0.6151  3 Al 1.77-1.92
O: 0.7251 0.8426 0.5647  2 Al 1.78-1.80
O: 0.7455 0.0086 0.9962  3 Al 1.86-1.93
O: 0.7593 0.5112 0.2076  2 Al 1.77-1.82
O: 0.7829 0.2602 0.1051  3 Al 1.80-1.97
O: 0.7997 0.2487 0.8186  3 Al 1.79-1.82
O: 0.8019 0.1121 0.5838  3 Al 1.79-1.93
O: 0.8146 0.1079 0.3228  3 Al 1.84-1.92
O: 0.8894 0.3548 0.3860  3 Al 1.80-1.85
O: 0.8905 0.5261 0.5390  2 Al 1.75-1.79
O: 0.8923 0.7077 0.3695  3 Al 1.79-1.84
O: 0.9095 0.7343 0.0901  3 Al 1.78-1.86
O: 0.9221 0.5289 0.8074  2 Al 1.70-1.74
O: 0.9327 0.9985 0.1506  3 Al 1.77-1.91
O: 0.9542 0.8674 0.8973  2 Al 1.81-1.87
O: 0.9540 0.9602 0.4529  3 Al 1.86-1.99
O: 0.9816 0.7697 0.6356  2 Al 1.71-1.73
O: 0.9910 0.2799 0.6473  3 Al 1.82-1.97

Values from the calculation:
M_tot, μB per atom: 0.000
Formation energy, eV per atom: -3.266
Uncorrected energy, eV per cell: -732.12

***

Entry 5:
First-principles (PBE) data for a relaxed PrNdSb crystal, as listed in Materials Project.

Cell lengths 4.6039, 4.6039, 17.8280 Å; angles 90.00, 90.00, 90.00 degrees
Last column: nearest neighbours and their distance in Å.
Space group I4/mmm (No. 139)
Asymmetric unit:
Pr: 0.0000 0.0000 0.1794  5 Sb 3.27-3.34
Nd: 0.0000 0.5000 0.0000  4 Nd 3.26, 4 Sb 3.36
Sb: 0.0000 0.0000 0.3629  5 Pr 3.27-3.34, 4 Nd 3.36

Values from the calculation:
Formation energy, eV per atom: -0.918
Uncorrected energy, eV per cell: -64.96

***

Entry 6:
First-principles (PBE) data for a relaxed BaLaBi2S6 crystal, as listed in Materials Project.

Cell lengths 4.2319, 14.9589, 16.6216 Å; angles 90.00, 92.72, 90.00 degrees
Last column: nearest neighbours and their distance in Å.
Space group P2_1/c (No. 14)
Asymmetric unit:
Ba: 0.2439 0.2113 0.3300  7 S 3.17-3.38
La: 0.2052 0.1258 0.5938  9 S 2.93-3.23
Bi: 0.2371 0.6278 0.4701  4 S 2.61-2.87
Bi: 0.2580 0.5214 0.7003  4 S 2.64-2.94
S: 0.1814 0.5367 0.2023  2 Bi 2.67-2.94
S: 0.2053 0.0836 0.9108  3 Bi 2.79-3.08
S: 0.2525 0.1694 0.1308  2 Bi 2.68-2.87
S: 0.2648 0.7070 0.0197  1 Bi 2.61
S: 0.2767 0.6730 0.7822  1 Bi 2.64
S: 0.3422 0.0119 0.4498  1 S 2.12

Values from the calculation:
M_tot, μB per atom: 0.000
Formation energy, eV per atom: -1.488
Uncorrected energy, eV per cell: -205.28

***

Entry 7:
First-principles (PBE) data for a relaxed Zn4SO14 crystal, as listed in Materials Project.

Cell lengths 8.2612, 8.2612, 10.3036 Å; angles 90.00, 90.00, 120.00 degrees
Last column: nearest neighbours and their distance in Å.
Space group P-3 (No. 147)
Asymmetric unit:
Zn: 0.0000 0.0000 0.1840  6 O 1.98-2.05
Zn: 0.1283 0.4183 0.9935  5 O 1.96-2.09
S: 0.3333 0.6667 0.3077  4 O 1.49
O: 0.0000 0.0000 0.4417  1 O 1.20
O: 0.0053 0.7826 0.7249  1 Zn 2.05, 1 O 2.27
O: 0.0672 0.8254 0.1010  3 Zn 1.98-2.09
O: 0.1085 0.6296 0.9193  3 Zn 1.96-2.00
O: 0.2026 0.7266 0.3598  1 S 1.49
O: 0.3333 0.6667 0.1630  1 S 1.49

Values from the calculation:
M_tot, μB per atom: 0.474
Formation energy, eV per atom: -0.275
Uncorrected energy, eV per cell: -162.84

***

Entry 8:
First-principles (PBE) data for a relaxed CdGaAg2Se4 crystal, as listed in Materials Project.

Cell lengths 8.1587, 7.4825, 7.1037 Å; angles 90.00, 90.00, 90.00 degrees
Last column: nearest neighbours and their distance in Å.
Space group Pmn2_1 (No. 31)
Asymmetric unit:
Cd: 0.0000 0.1500 0.0000  4 Se 2.68-2.71
Ga: 0.0000 0.8305 0.4891  4 Se 2.44-2.49
Ag: 0.2478 0.6734 0.0083  4 Se 2.61-2.69
Se: 0.0000 0.1421 0.3807  1 Ga 2.46, 2 Ag 2.64, 1 Cd 2.71
Se: 0.0000 0.8260 0.8391  1 Ga 2.49, 2 Ag 2.61, 1 Cd 2.68
Se: 0.2390 0.6648 0.3804  1 Ga 2.44, 2 Ag 2.64-2.69, 1 Cd 2.68

Values from the calculation:
M_tot, μB per atom: 0.000
Formation energy, eV per atom: -0.588
Uncorrected energy, eV per cell: -52.84

***

Entry 9:
First-principles (PBE) data for a relaxed AgMo6Br13 crystal, as listed in Materials Project.

Cell lengths 9.5723, 9.7054, 14.7678 Å; angles 96.60, 102.63, 113.22 degrees
Last column: nearest neighbours and their distance in Å.
Space group P-1 (No. 2)
Asymmetric unit:
Ag: 0.0454 0.2759 0.2722  4 Br 2.69-2.91
Mo: 0.3085 0.0022 0.4376  5 Br 2.59-2.64, 4 Mo 2.65-2.66
Mo: 0.3238 0.3884 0.0404  5 Br 2.60-2.65, 4 Mo 2.65-2.66
Mo: 0.3687 0.5433 0.9047  5 Br 2.62-2.64, 4 Mo 2.65-2.66
Mo: 0.3986 0.7845 0.4757  5 Br 2.61-2.64, 4 Mo 2.64-2.67
Mo: 0.4510 0.0145 0.6161  5 Br 2.60-2.76, 4 Mo 2.64-2.67
Mo: 0.4617 0.3210 0.9154  5 Br 2.61-2.75, 4 Mo 2.65-2.66
Br: 0.0460 0.0166 0.3509  1 Mo 2.62, 1 Ag 2.89
Br: 0.0732 0.2280 0.0951  1 Mo 2.65, 1 Ag 2.69
Br: 0.1590 0.2541 0.8640  3 Mo 2.60-2.63
Br: 0.1623 0.7988 0.5298  3 Mo 2.61-2.64
Br: 0.1813 0.5924 0.7672  1 Mo 2.62, 1 Ag 2.91
Br: 0.2342 0.6113 0.0285  3 Mo 2.62-2.63
Br: 0.2556 0.4809 0.4368  1 Mo 2.64, 1 Ag 2.74
Br: 0.2578 0.7745 0.3003  3 Mo 2.62-2.63
Br: 0.3557 0.2220 0.5744  3 Mo 2.59-2.64
Br: 0.3953 0.0549 0.7908  2 Mo 2.75-2.76
Br: 0.4161 0.1681 0.0503  3 Mo 2.62-2.64
Br: 0.4616 0.2020 0.3479  3 Mo 2.62
Br: 0.4900 0.5222 0.2165  3 Mo 2.60-2.63

Values from the calculation:
M_tot, μB per atom: 0.000
Formation energy, eV per atom: -0.996
Uncorrected energy, eV per cell: -204.35

***

uncorrected energy of number 6 (BaLaBi2S6)?
-205.28 eV per cell

***

The lowest formation energy belongs to which entry?
Al2O3